KAgO2 (PBE, relaxed); total moment = 0.0 μB/cell; energy relative to the elements = -1.0028 eV per atom; SG = Pmmm (47)
1.0
3.046 0.000 0.000
0.000 3.729 0.000
0.000 0.000 5.931
K Ag O
1 1 2
Cartesian
0.000 0.000 0.000 K
0.000 1.864 2.966 Ag
1.523 1.864 1.599 O
1.523 1.864 4.332 O